# GGA-PBE Sm3Er, relaxed
# * polymorph energy (0 for the lowest one): 0.011 eV per atom
# * crystal system: hexagonal
# * energy of formation: 0.50 kcal/mol of atoms
# * calculated volume: 33.742 A^3/atom
# * uncorrected energy: -4.6592 eV/atom
data_Sm3Er
_chemical_formula_sum 'Sm6 Er2'
_symmetry_space_group_name_H-M 'P 63/m m c'
_symmetry_Int_Tables_number 194
_symmetry_space_group_name_Hall '-P 6c 2c'
_cell_length_a 7.3291
_cell_length_b 7.3291
_cell_length_c 5.8027
_cell_angle_alpha 90.00
_cell_angle_beta 90.00
_cell_angle_gamma 120.00
loop_
_atom_site_label
_atom_site_type_symbol
_atom_site_fract_x
_atom_site_fract_y
_atom_site_fract_z
Sm1 Sm 0.1667 0.3333 0.2500
Er1 Er 0.3333 0.6667 0.7500